(1)
Computed, not measured: Zn5Cr20Ga4Se40 after structural relaxation at the GGA-PBE level of DFT.

Properties
**Total energy after the MP2020 corrections**: -0.2180 hartree per atom
**Crystal system**: tetragonal
**Electronic total energy**: -5.66 eV/atom
**Energy relative to the elements**: -0.841 eV per atom

a b c (Å): 13.023 13.023 13.023
angles (deg): 99.60 99.60 131.80
Fractional positions:
Zn: 0.000 0.000 0.000
Zn: 0.150 0.050 0.700
Zn: 0.350 0.450 0.300
Zn: 0.550 0.850 0.900
Zn: 0.950 0.650 0.100
Cr: 0.069 0.518 0.347
Cr: 0.074 0.528 0.847
Cr: 0.077 0.025 0.350
Cr: 0.171 0.722 0.653
Cr: 0.273 0.923 0.949
Cr: 0.277 0.425 0.951
Cr: 0.278 0.931 0.449
Cr: 0.374 0.125 0.254
Cr: 0.472 0.319 0.546
Cr: 0.474 0.326 0.049
Cr: 0.482 0.829 0.551
Cr: 0.575 0.526 0.852
Cr: 0.674 0.723 0.148
Cr: 0.676 0.727 0.650
Cr: 0.681 0.227 0.153
Cr: 0.773 0.926 0.454
Cr: 0.871 0.121 0.746
Cr: 0.875 0.129 0.250
Cr: 0.879 0.626 0.750
Cr: 0.975 0.324 0.051
Ga: 0.199 0.400 0.600
Ga: 0.401 0.801 0.201
Ga: 0.600 0.200 0.799
Ga: 0.800 0.599 0.400
Se: 0.010 0.156 0.437
Se: 0.027 0.190 0.946
Se: 0.031 0.678 0.938
Se: 0.044 0.681 0.454
Se: 0.107 0.369 0.246
Se: 0.118 0.373 0.763
Se: 0.123 0.861 0.754
Se: 0.139 0.893 0.262
Se: 0.210 0.556 0.037
Se: 0.227 0.590 0.546
Se: 0.231 0.077 0.538
Se: 0.244 0.081 0.054
Se: 0.307 0.769 0.846
Se: 0.319 0.773 0.363
Se: 0.322 0.260 0.354
Se: 0.339 0.294 0.862
Se: 0.410 0.956 0.637
Se: 0.428 0.990 0.146
Se: 0.431 0.477 0.138
Se: 0.444 0.481 0.654
Se: 0.506 0.169 0.446
Se: 0.519 0.173 0.963
Se: 0.523 0.661 0.954
Se: 0.539 0.693 0.462
Se: 0.610 0.356 0.237
Se: 0.627 0.390 0.745
Se: 0.631 0.877 0.738
Se: 0.644 0.882 0.255
Se: 0.706 0.569 0.046
Se: 0.718 0.572 0.563
Se: 0.723 0.060 0.554
Se: 0.740 0.093 0.062
Se: 0.810 0.756 0.837
Se: 0.827 0.790 0.346
Se: 0.831 0.277 0.337
Se: 0.844 0.282 0.854
Se: 0.907 0.969 0.646
Se: 0.919 0.973 0.163
Se: 0.923 0.461 0.154
Se: 0.940 0.494 0.663


(2)
Computed, not measured: CrGaTe after structural relaxation at the GGA-PBE level of DFT.

Properties
**Total energy after the MP2020 corrections**: -0.1807 hartree per atom
**Crystal system**: cubic
**Electronic total energy**: -4.78 eV/atom
**Energy relative to the elements**: 0.356 eV per atom

a b c (Å): 6.716 6.716 6.716
angles (deg): 90.00 90.00 90.00
Fractional positions:
Cr: 0.000 0.000 0.000
Cr: 0.000 0.500 0.500
Cr: 0.500 0.000 0.500
Cr: 0.500 0.500 0.000
Ga: 0.250 0.250 0.750
Ga: 0.250 0.750 0.250
Ga: 0.750 0.250 0.250
Ga: 0.750 0.750 0.750
Te: 0.000 0.000 0.500
Te: 0.000 0.500 0.000
Te: 0.500 0.000 0.000
Te: 0.500 0.500 0.500


(3)
Computed, not measured: GdCr2Si2 after structural relaxation at the GGA-PBE level of DFT.

Properties
**Total energy after the MP2020 corrections**: -0.3391 hartree per atom
**Crystal system**: triclinic
**Electronic total energy**: -9.26 eV/atom
**Energy relative to the elements**: -0.381 eV per atom

a b c (Å): 3.853 3.878 6.012
angles (deg): 71.47 71.52 89.98
Fractional positions:
Gd: 0.000 0.000 0.000
Cr: 0.246 0.755 0.499
Cr: 0.750 0.245 0.501
Si: 0.384 0.386 0.233
Si: 0.613 0.614 0.768